Here is crystalline LuThRu2 at its relaxed geometry from the Materials Project. Energies are from GGA-PBE.

Results
The value obtained for the total energy is -8.126 eV per atom. Its symmetry is No. 225. The volume comes out at 20.52 A^3/atom. The formation energy from the elements is -506 meV per atom.

Cell lengths 4.878, 4.878, 4.878 Å; angles 60.00, 60.00, 60.00 degrees
Sites, in units of the cell vectors:
Lu 0.000 0.000 0.000
Th 0.500 0.500 0.500
Ru 0.250 0.250 0.250
Ru 0.750 0.750 0.750